Record 1
Computed, not measured: an optimized crystal structure of MgGaAg2 at the PBE-GGA level of DFT.

Unit cell a=4.6471 b=4.6471 c=4.6471 alpha=60.00 beta=60.00 gamma=60.00
Closest atoms and distances in Å follow each position.
Positions (direct):
Mg 0.0000 0.0000 0.0000  8 Ag 2.85
Ga 0.5000 0.5000 0.5000  8 Ag 2.85
Ag 0.7500 0.7500 0.7500  4 Mg 2.85, 4 Ga 2.85
Ag 0.2500 0.2500 0.2500  4 Ga 2.85, 4 Mg 2.85

ΔE_f: -154.7 meV/atom
volume: 71.0 Å³ per cell
symmetry: Fm-3m, No. 225
total DFT energy (no corrections): -0.100 Ha/atom
ρ: 7.25 Mg/m³



Record 2
Computed, not measured: an optimized crystal structure of Mg7GaAg12 at the PBE-GGA level of DFT.

Unit cell a=19.3247 b=19.3247 c=19.3247 alpha=13.92 beta=13.92 gamma=13.92
Closest atoms and distances in Å follow each position.
Positions (direct):
Mg 0.4000 0.4000 0.4000  8 Ag 2.87
Mg 0.2000 0.2000 0.2000  8 Ag 2.87-2.88
Mg 0.8002 0.8002 0.8002  8 Ag 2.86-2.88
Mg 0.0000 0.0000 0.0000  8 Ag 2.87
Mg 0.5998 0.5998 0.5998  8 Ag 2.86-2.88
Mg 0.1000 0.1000 0.1000  8 Ag 2.86-2.87
Mg 0.7001 0.7001 0.7001  8 Ag 2.87-2.88
Ga 0.3000 0.3000 0.3000  8 Ag 2.86-2.87
Ag 0.0500 0.0500 0.0500  8 Mg 2.87
Ag 0.8501 0.8501 0.8501  4 Mg 2.86-2.87, 4 Ag 2.87
Ag 0.4500 0.4500 0.4500  7 Mg 2.87, 1 Ag 2.87
Ag 0.6500 0.6500 0.6500  3 Ga 2.87, 5 Mg 2.87-2.88
Ag 0.2501 0.2501 0.2501  1 Ga 2.86, 4 Mg 2.86-2.88, 3 Ag 2.87
Ag 0.3499 0.3499 0.3499  7 Mg 2.87, 1 Ga 2.87
Ag 0.1499 0.1499 0.1499  5 Mg 2.86-2.88, 3 Ag 2.87
Ag 0.7500 0.7500 0.7500  8 Mg 2.87-2.88
Ag 0.9501 0.9501 0.9501  4 Mg 2.87, 3 Ga 2.87, 1 Ag 2.88
Ag 0.5500 0.5500 0.5500  4 Mg 2.86-2.87, 4 Ag 2.87
Ag 0.9000 0.9000 0.9000  8 Ag 2.87-2.88
Ag 0.5000 0.5000 0.5000  8 Ag 2.87

ΔE_f: -184.4 meV/atom
volume: 363.5 Å³ per cell
size of the total moment: 0.00 μB/cell
symmetry: R3m, No. 160
total DFT energy (no corrections): -0.095 Ha/atom
ρ: 7.01 Mg/m³



Record 3
Computed, not measured: an optimized crystal structure of NaGa6AgTe10 at the PBE-GGA level of DFT.

Unit cell a=10.4614 b=10.4321 c=10.4321 alpha=90.28 beta=89.57 gamma=89.57
Closest atoms and distances in Å follow each position.
Positions (direct):
Na 0.5000 0.5009 0.4991  6 Te 3.35-3.39
Na 0.0000 0.7610 0.2391  6 Te 3.21-3.36
Ga 0.1210 0.5744 0.8400  4 Te 2.65-2.72
Ga 0.4248 0.8404 0.8789  4 Te 2.67-2.72
Ga 0.1599 0.8775 0.5732  4 Te 2.65-2.72
Ga 0.5752 0.1211 0.1596  4 Te 2.67-2.72
Ga 0.8401 0.4268 0.1225  4 Te 2.65-2.72
Ga 0.8790 0.1600 0.4256  4 Te 2.65-2.72
Ga 0.8343 0.3382 0.7493  4 Te 2.60-2.73
Ga 0.6604 0.7475 0.1671  4 Te 2.63-2.72
Ga 0.2505 0.1666 0.3399  4 Te 2.61-2.72
Ga 0.3396 0.8329 0.2525  4 Te 2.63-2.72
Ga 0.7495 0.6601 0.8334  4 Te 2.61-2.72
Ga 0.1657 0.2507 0.6618  4 Te 2.60-2.73
Ag 0.3009 0.3011 0.9999  4 Te 2.87-3.19
Ag 0.6991 0.0001 0.6989  4 Te 2.87-3.19
Te 0.1707 0.8295 0.8291  3 Ga 2.72
Te 0.8293 0.1709 0.1705  3 Ga 2.72
Te 0.9297 0.5685 0.6711  3 Ga 2.68-2.73
Te 0.4320 0.6717 0.0703  3 Ga 2.67-2.72
Te 0.3281 0.0704 0.5682  3 Ga 2.68-2.72
Te 0.5680 0.9297 0.3283  3 Ga 2.67-2.72
Te 0.6719 0.4318 0.9295  3 Ga 2.68-2.72
Te 0.0703 0.3289 0.4315  3 Ga 2.68-2.73
Te 0.3172 0.4300 0.7582  2 Ga 2.66-2.67, 1 Ag 2.87
Te 0.5709 0.7588 0.6835  2 Ga 2.65-2.67, 1 Ag 2.87
Te 0.2446 0.6827 0.4307  2 Ga 2.63-2.65
Te 0.4291 0.3165 0.2411  2 Ga 2.65-2.67, 1 Ag 2.87
Te 0.7554 0.5693 0.3173  2 Ga 2.63-2.65
Te 0.6828 0.2418 0.5700  2 Ga 2.66-2.67, 1 Ag 2.87
Te 0.1738 0.0026 0.1679  2 Ga 2.61-2.63
Te 0.0000 0.1707 0.8293  2 Ga 2.60
Te 0.8262 0.8321 0.9974  2 Ga 2.61-2.63
Te 0.0820 0.4975 0.0790  2 Ga 2.65-2.68
Te 0.5000 0.0812 0.9188  2 Ga 2.67
Te 0.9180 0.9210 0.5025  2 Ga 2.65-2.68

ΔE_f: -607.8 meV/atom
volume: 1138.4 Å³ per cell
size of the total moment: 0.00 μB/cell
symmetry: C2, No. 5
total DFT energy (no corrections): -0.123 Ha/atom
ρ: 5.32 Mg/m³
corrected total energy (MP2020 scheme): -3.59 eV/atom



Record 4
Computed, not measured: an optimized crystal structure of Nd2GaAg at the PBE-GGA level of DFT.

Unit cell a=5.2937 b=5.2937 c=5.2937 alpha=60.00 beta=60.00 gamma=60.00
Closest atoms and distances in Å follow each position.
Positions (direct):
Nd 0.7500 0.7500 0.7500  4 Ga 3.24, 4 Ag 3.24
Nd 0.2500 0.2500 0.2500  4 Ag 3.24, 4 Ga 3.24
Ga 0.0000 0.0000 0.0000  8 Nd 3.24
Ag 0.5000 0.5000 0.5000  8 Nd 3.24

ΔE_f: -407.5 meV/atom
volume: 104.9 Å³ per cell
symmetry: Fm-3m, No. 225
total DFT energy (no corrections): -0.156 Ha/atom
ρ: 7.38 Mg/m³